[1]
Material: HoB2Os
Method: DFT, GGA-PBE
State: relaxed

Volume: 49.86 Å³/f.u.
Formation enthalpy at 0 K: -591 meV per atom

Cell: 5.8954 5.3171 6.3628 Å, 90.00 90.00 90.00°
Closest atoms and distances in Å follow each position.
Space group Pnma (No. 62)
Asymmetric unit:
Ho  0.0103  0.2500  0.1650  6 B 2.60-2.69
B  0.1376  0.5825  0.4617  2 B 1.78-1.91
Os  0.1763  0.2500  0.6809  6 B 2.25-2.28

---

[2]
Material: LiCu2O4
Method: DFT, GGA-PBE
State: relaxed

Volume: 71.49 Å³/f.u.
Formation enthalpy at 0 K: -1092 meV per atom

Cell: 8.3007 8.3007 8.3007 Å, 90.00 90.00 90.00°
Closest atoms and distances in Å follow each position.
Space group Fd-3m (No. 227, origin choice 2)
Asymmetric unit:
Li  0.1250  0.1250  0.1250  4 O 1.99
Cu  0.0000  0.0000  0.5000  6 O 1.97
O  0.0131  0.0131  0.7369  3 Cu 1.97, 1 Li 1.99

---

> Among the records above, which one has the highest volume?

LiCu2O4

---

> What is the formation enthalpy at 0 K in the second record?

-1092 meV per atom